A relaxed Dy4Ga16Co3 crystal. Source: the Materials Project, functional PBE.

Cell: 6.024 6.024 11.096 Å, 90.00 90.00 90.00°
Fractional positions:
Dy: 0.000 0.500 0.195
Dy: 0.000 0.500 0.805
Dy: 0.500 0.000 0.195
Dy: 0.500 0.000 0.805
Ga: 0.000 0.000 0.198
Ga: 0.000 0.000 0.802
Ga: 0.220 0.220 0.000
Ga: 0.220 0.780 0.000
Ga: 0.250 0.250 0.385
Ga: 0.250 0.250 0.615
Ga: 0.250 0.750 0.385
Ga: 0.250 0.750 0.615
Ga: 0.500 0.500 0.219
Ga: 0.500 0.500 0.781
Ga: 0.750 0.250 0.385
Ga: 0.750 0.250 0.615
Ga: 0.750 0.750 0.385
Ga: 0.750 0.750 0.615
Ga: 0.780 0.220 0.000
Ga: 0.780 0.780 0.000
Co: 0.000 0.500 0.500
Co: 0.500 0.000 0.500
Co: 0.500 0.500 0.000

Summary:
- E: -99.929 eV/cell
- Formation energy from the elements: -510 meV per atom

---

A relaxed Rb3Ho crystal. Source: the Materials Project, functional PBE.

Cell: 7.237 7.237 7.237 Å, 60.00 60.00 60.00°
Fractional positions:
Rb: 0.000 0.000 0.000
Rb: 0.250 0.250 0.250
Rb: 0.750 0.750 0.750
Ho: 0.500 0.500 0.500

Summary:
- E: -4.961 eV/cell
- Formation energy from the elements: 641 meV per atom

---

A relaxed Sm2MgSe4 crystal. Source: the Materials Project, functional PBE.

Cell: 14.466 8.446 6.923 Å, 90.00 90.00 90.00°
Fractional positions:
Sm: 0.000 0.000 0.000
Sm: 0.000 0.500 0.000
Sm: 0.234 0.250 0.498
Sm: 0.266 0.750 0.998
Sm: 0.500 0.000 0.500
Sm: 0.500 0.500 0.500
Sm: 0.734 0.250 0.002
Sm: 0.766 0.750 0.502
Mg: 0.092 0.750 0.583
Mg: 0.408 0.250 0.083
Mg: 0.592 0.750 0.917
Mg: 0.908 0.250 0.417
Se: 0.071 0.250 0.253
Se: 0.092 0.750 0.215
Se: 0.169 0.510 0.756
Se: 0.169 0.990 0.756
Se: 0.331 0.010 0.256
Se: 0.331 0.490 0.256
Se: 0.408 0.250 0.715
Se: 0.429 0.750 0.753
Se: 0.571 0.250 0.247
Se: 0.592 0.750 0.285
Se: 0.669 0.510 0.744
Se: 0.669 0.990 0.744
Se: 0.831 0.010 0.244
Se: 0.831 0.490 0.244
Se: 0.908 0.250 0.785
Se: 0.929 0.750 0.747

Summary:
- E: -146.774 eV/cell
- Formation energy from the elements: -1937 meV per atom

---

A relaxed In7Pt3 crystal. Source: the Materials Project, functional PBE.

Cell: 8.316 8.316 8.316 Å, 109.47 109.47 109.47°
Fractional positions:
In: 0.000 0.000 0.326
In: 0.000 0.000 0.674
In: 0.000 0.326 0.000
In: 0.000 0.674 0.000
In: 0.250 0.500 0.750
In: 0.250 0.750 0.500
In: 0.326 0.000 0.000
In: 0.326 0.326 0.326
In: 0.500 0.250 0.750
In: 0.500 0.750 0.250
In: 0.674 0.000 0.000
In: 0.674 0.674 0.674
In: 0.750 0.250 0.500
In: 0.750 0.500 0.250
Pt: 0.000 0.344 0.344
Pt: 0.000 0.656 0.656
Pt: 0.344 0.000 0.344
Pt: 0.344 0.344 0.000
Pt: 0.656 0.000 0.656
Pt: 0.656 0.656 0.000

Summary:
- E: -83.561 eV/cell
- Formation energy from the elements: -431 meV per atom

---

A relaxed MgCd4Cu4As4H4O20 crystal. Source: the Materials Project, functional PBE.

Cell: 7.722 6.017 9.862 Å, 90.00 91.51 90.00°
Fractional positions:
Mg: 0.000 0.000 0.000
Cd: 0.090 0.000 0.441
Cd: 0.297 0.500 0.836
Cd: 0.578 0.000 0.309
Cd: 0.746 0.500 0.935
Cu: 0.198 0.278 0.170
Cu: 0.198 0.722 0.170
Cu: 0.705 0.255 0.609
Cu: 0.705 0.745 0.609
As: 0.090 0.000 0.741
As: 0.324 0.500 0.484
As: 0.550 0.000 0.970
As: 0.808 0.500 0.253
H: 0.438 0.500 0.102
H: 0.461 0.000 0.575
H: 0.942 0.500 0.703
H: 0.943 0.000 0.224
O: 0.066 0.000 0.198
O: 0.076 0.217 0.858
O: 0.076 0.783 0.858
O: 0.186 0.500 0.618
O: 0.263 0.000 0.641
O: 0.291 0.268 0.379
O: 0.291 0.732 0.379
O: 0.314 0.500 0.070
O: 0.418 0.000 0.112
O: 0.529 0.237 0.872
O: 0.529 0.763 0.872
O: 0.537 0.500 0.547
O: 0.580 0.000 0.538
O: 0.629 0.500 0.146
O: 0.759 0.000 0.037
O: 0.815 0.500 0.711
O: 0.816 0.257 0.347
O: 0.816 0.743 0.347
O: 0.909 0.000 0.628
O: 0.970 0.500 0.130

Summary:
- E: -192.596 eV/cell
- Formation energy from the elements: -1445 meV per atom

---

A relaxed Mg2Al2SiO9 crystal. Source: the Materials Project, functional PBE.

Cell: 5.468 13.989 5.470 Å, 90.00 118.92 90.00°
Fractional positions:
Mg: 0.015 0.000 0.336
Mg: 0.332 0.501 0.325
Mg: 0.668 0.001 0.675
Mg: 0.985 0.500 0.664
Al: 0.320 0.007 0.985
Al: 0.334 0.207 0.671
Al: 0.666 0.707 0.329
Al: 0.680 0.507 0.015
Si: 0.005 0.206 0.002
Si: 0.995 0.706 0.998
O: 0.017 0.086 0.996
O: 0.022 0.946 0.690
O: 0.159 0.242 0.323
O: 0.161 0.252 0.842
O: 0.318 0.740 0.160
O: 0.324 0.078 0.686
O: 0.353 0.448 0.978
O: 0.353 0.948 0.306
O: 0.375 0.567 0.708
O: 0.625 0.067 0.292
O: 0.647 0.448 0.694
O: 0.647 0.948 0.022
O: 0.676 0.578 0.314
O: 0.682 0.240 0.840
O: 0.839 0.752 0.158
O: 0.841 0.742 0.677
O: 0.978 0.446 0.310
O: 0.983 0.586 0.004

Summary:
- E: -180.397 eV/cell
- Formation energy from the elements: -2552 meV per atom